Record 1
54
Lattice="7.3909 -5.3084 0.0000 7.3909 5.3084 0.0000 -0.2363 0.0000 5.1365" Properties=species:S:1:pos:R:3 comment="PBE B8O, optimized geometry" polymorph_energy_mev_per_atom=3.9 energy_mp2020_ev_per_atom=-7.087 sg="No. 12" formation_energy_kj_per_mol_atoms=-57.9 pbc="T T T"
B 14.7376 0.0000 0.8447
B -0.1922 0.0000 4.2918
B 1.0779 0.8837 3.4359
B 13.4676 -0.8837 1.7006
B 2.2803 1.7393 4.2635
B 3.5431 2.6180 3.4134
B 1.4008 0.0000 1.9386
B 6.7854 3.9134 3.2880
B 3.2224 1.2542 0.7132
B 4.9756 2.6393 4.5080
B 7.7600 3.9134 1.8485
B 1.0779 -0.8837 3.4359
B 4.8960 1.7719 0.8661
B 4.0102 1.1531 4.4045
B 2.2803 -1.7393 4.2635
B 6.0486 0.8815 1.7309
B 3.2224 -1.2542 0.7132
B 6.7768 1.3852 3.2955
B 4.0102 -1.1531 4.4045
B 5.6678 0.0000 3.2878
B 7.7687 1.3852 1.8411
B 9.5699 2.6393 0.6285
B 3.5431 -2.6180 3.4134
B 6.0486 -0.8815 1.7309
B 9.6495 1.7719 4.2705
B 7.3500 0.0000 0.8462
B 7.1955 0.0000 4.2903
B 4.8960 -1.7719 0.8661
B 8.4968 0.8815 3.4057
B 11.0024 2.6180 1.7231
B 4.9756 -2.6393 4.5080
B 6.7768 -1.3852 3.2955
B 8.8776 0.0000 1.8487
B 10.5352 1.1531 0.7320
B 7.7687 -1.3852 1.8411
B 11.3231 1.2542 4.4234
B 8.4968 -0.8815 3.4057
B 12.2651 1.7393 0.8730
B 10.5352 -1.1531 0.7320
B 13.4676 0.8837 1.7006
B 9.6495 -1.7720 4.2705
B 6.7854 -3.9134 3.2880
B 9.5699 -2.6393 0.6285
B 11.3231 -1.2542 4.4234
B 7.7600 -3.9134 1.8485
B 13.1447 0.0000 3.1979
B 11.0024 -2.6180 1.7231
B 12.2651 -1.7393 0.8730
O 2.7532 0.0000 1.3399
O 6.3196 2.6517 3.8984
O 8.2258 2.6517 1.2381
O 6.3196 -2.6517 3.8984
O 8.2258 -2.6517 1.2381
O 11.7922 0.0000 3.7966

=====

Record 2
14
Lattice="-2.3745 4.2574 4.2996 2.3745 -4.2574 4.2996 2.3745 4.2574 -4.2996" Properties=species:S:1:pos:R:3 comment="PBE YV2Fe10N, optimized geometry" energy_mp2020_ev_per_atom=-8.587 sg="No. 71" formation_energy_kj_per_mol_atoms=-17.6 pbc="T T T"
Y 0.0000 0.0000 0.0000
V 0.0000 0.0000 3.0875
V 0.0000 0.0000 5.5117
Fe 1.1873 2.1287 -2.1498
Fe 1.1873 -2.1287 2.1498
Fe 2.3745 0.0000 1.9194
Fe 2.3745 1.9130 0.0000
Fe 0.0000 3.0710 0.0000
Fe -1.1873 2.1287 2.1498
Fe 1.1873 2.1287 2.1498
Fe 0.0000 5.4439 0.0000
Fe 0.0000 2.3444 4.2996
Fe 0.0000 4.2574 2.3803
N 2.3745 0.0000 0.0000

=====

Record 3
36
Lattice="7.3252 0.0000 0.0000 2.4265 7.2511 0.0000 2.2989 2.0022 7.6503" Properties=species:S:1:pos:R:3 comment="PBE Li2CuP3H2O10, optimized geometry" energy_mp2020_ev_per_atom=-6.672 sg="No. 2" formation_energy_kj_per_mol_atoms=-212.7 pbc="T T T"
Li 2.2779 3.1791 2.8566
Li 2.7937 4.3570 0.0834
Li 9.2569 4.8962 7.5669
Li 9.7727 6.0741 4.7937
Cu 5.3002 8.0766 4.8853
Cu 6.7504 1.1766 2.7650
P 1.9646 0.9797 0.6538
P 4.1993 3.5440 5.4951
P 4.7964 5.9026 2.5198
P 7.2542 3.3507 5.1304
P 7.8513 5.7092 2.1552
P 10.0860 8.2736 6.9965
H 7.3796 7.1782 6.4015
H 5.1909 3.2704 2.0293
H 6.8597 5.9828 5.6210
H 4.6710 2.0750 1.2488
O 4.2083 7.9958 6.7439
O 3.5963 4.8433 5.9697
O 4.3733 6.7466 3.6913
O 3.4576 2.7320 4.4595
O 3.9952 4.6680 2.2207
O 2.9357 2.0644 1.0682
O 4.4557 2.5796 6.7494
O 4.8599 6.7893 1.1816
O 6.5204 6.7484 6.1466
O 5.7047 3.8156 4.9834
O 6.3459 5.4377 2.6669
O 5.5302 2.5048 1.5037
O 7.1907 2.4639 6.4687
O 7.5949 6.6736 0.9009
O 9.1149 7.1889 6.5821
O 8.0554 4.5852 5.4295
O 8.5930 6.5212 3.1908
O 7.6773 2.5066 3.9590
O 8.4543 4.4099 1.6806
O 7.8423 1.2574 0.9064

=====

E in eV per atom, matching the order above: -7.011; -8.562; -6.291